Entry 1:
First-principles (PBE) data for an optimized crystal structure of NdAl8Fe4, as listed in Materials Project.

- ΔH_f (0 K) (eV/atom) = -0.40
- theoretical density (Mg/m³) = 4.96
- M_tot (μB per formula unit) = 5.4

abc: 8.7915 8.7915 5.0499
angles: 90.00 90.00 90.00
Closest atoms and distances in Å follow each position.
Space group I4/mmm (No. 139)
Asymmetric unit:
Nd 0.0000 0.0000 0.0000 x2  12 Al 3.01-3.20, 8 Fe 3.35
Al 0.0000 0.2233 0.5000 x8  4 Fe 2.55, 6 Al 2.73-2.80
Al 0.0000 0.3421 0.0000 x8  4 Fe 2.66, 5 Al 2.73-2.80
Fe 0.2500 0.2500 0.2500 x8  2 Fe 2.52, 8 Al 2.55-2.66

***

Entry 2:
First-principles (PBE) data for an optimized crystal structure of Nd2Al2Fe15, as listed in Materials Project.

- ΔH_f (0 K) (eV/atom) = -0.04
- theoretical density (Mg/m³) = 7.40
- M_tot (μB per formula unit) = 29.7

abc: 8.5480 8.5480 12.5557
angles: 90.00 90.00 120.00
Closest atoms and distances in Å follow each position.
Space group R-3m (No. 166, hexagonal axes)
Asymmetric unit:
Nd 0.0000 0.0000 0.1517 x6  18 Fe 3.06-3.36, 1 Al 3.09
Al 0.0000 0.0000 0.3976 x6  1 Al 2.57, 12 Fe 2.60-2.79
Fe 0.0000 0.2894 0.5000 x18  8 Fe 2.45-2.67
Fe 0.0000 0.5000 0.0000 x9  8 Fe 2.45-2.46, 2 Al 2.60
Fe 0.0042 0.5021 0.3428 x18  8 Fe 2.45-2.67, 1 Al 2.61

***

Entry 3:
First-principles (PBE) data for an optimized crystal structure of Al5FeNi, as listed in Materials Project.

- ΔH_f (0 K) (eV/atom) = -0.38
- theoretical density (Mg/m³) = 4.21
- M_tot (μB per formula unit) = 0.0

abc: 7.6677 7.6977 13.3351
angles: 90.00 90.00 90.00
Closest atoms and distances in Å follow each position.
Space group Amm2 (No. 38)
Asymmetric unit:
Al 0.0000 0.0000 0.0655 x2  3 Fe 2.41-2.68
Al 0.0000 0.2061 0.8643 x4  2 Fe 2.42-2.61, 1 Ni 2.44
Al 0.1858 0.0000 0.4058 x4  1 Fe 2.34, 1 Ni 2.56, 1 Al 2.60
Al 0.1890 0.2058 0.1949 x8  1 Fe 2.35, 1 Ni 2.56
Al 0.2461 0.0000 0.5979 x4  2 Fe 2.53, 4 Ni 2.54-2.58, 6 Al 2.60-2.67
Al 0.3032 0.2050 0.0000 x8  2 Fe 2.36-2.50
Al 0.3084 0.0000 0.7947 x4  1 Fe 2.36, 1 Ni 2.54
Al 0.5000 0.0000 0.1287 x2  2 Ni 2.45, 1 Fe 2.60
Al 0.5000 0.2052 0.3335 x4  2 Ni 2.42-2.43, 1 Fe 2.63
Fe 0.0000 0.0000 0.2662 x2  8 Al 2.34-2.61
Fe 0.0000 0.1916 0.5361 x4  10 Al 2.41-2.69
Fe 0.5000 0.0000 0.9335 x2  9 Al 2.36-2.63
Ni 0.0000 0.0000 0.7255 x2  10 Al 2.44-2.72
Ni 0.5000 0.0000 0.4711 x2  6 Al 2.42-2.58
Ni 0.5000 0.1874 0.6622 x4  8 Al 2.43-2.71

***

Entry 4:
First-principles (PBE) data for an optimized crystal structure of Al2FeNi, as listed in Materials Project.

- ΔH_f (0 K) (eV/atom) = -0.52
- theoretical density (Mg/m³) = 5.91

abc: 2.8955 2.8955 5.6477
angles: 90.00 90.00 90.00
Closest atoms and distances in Å follow each position.
Space group P4/mmm (No. 123)
Asymmetric unit:
Al 0.0000 0.0000 0.2398 x2  4 Fe 2.45, 4 Ni 2.52, 1 Al 2.71
Fe 0.5000 0.5000 0.0000 x1  8 Al 2.45
Ni 0.5000 0.5000 0.5000 x1  8 Al 2.52

***

Entry 5:
First-principles (PBE) data for an optimized crystal structure of Al2FeNi, as listed in Materials Project.

- ΔH_f (0 K) (eV/atom) = -0.50
- theoretical density (Mg/m³) = 5.90
- M_tot (μB per formula unit) = 0.2

abc: 5.7444 5.7444 5.7444
angles: 90.00 90.00 90.00
Closest atoms and distances in Å follow each position.
Space group Fm-3m (No. 225)
Asymmetric unit:
Al 0.2500 0.2500 0.2500 x8  4 Fe 2.49, 4 Ni 2.49
Fe 0.0000 0.0000 0.0000 x4  8 Al 2.49
Ni 0.0000 0.0000 0.5000 x4  8 Al 2.49

***

Entry 6:
First-principles (PBE) data for an optimized crystal structure of PaAlFe2, as listed in Materials Project.

- ΔH_f (0 K) (eV/atom) = -0.22
- theoretical density (Mg/m³) = 9.97

abc: 6.2691 6.2691 6.2691
angles: 90.00 90.00 90.00
Closest atoms and distances in Å follow each position.
Space group Fm-3m (No. 225)
Asymmetric unit:
Pa 0.0000 0.0000 0.0000 x4  8 Fe 2.71
Al 0.0000 0.0000 0.5000 x4  8 Fe 2.71
Fe 0.2500 0.2500 0.2500 x8  4 Pa 2.71, 4 Al 2.71

***

Entry 7:
First-principles (PBE) data for an optimized crystal structure of Pr2Al2Fe15, as listed in Materials Project.

- ΔH_f (0 K) (eV/atom) = -0.02
- theoretical density (Mg/m³) = 7.31
- M_tot (μB per formula unit) = 29.1

abc: 8.5373 8.5373 12.6621
angles: 90.00 90.00 120.00
Closest atoms and distances in Å follow each position.
Space group R-3m (No. 166, hexagonal axes)
Asymmetric unit:
Pr 0.0000 0.0000 0.1518 x6  18 Fe 3.07-3.37, 1 Al 3.12
Al 0.0000 0.0000 0.3983 x6  1 Al 2.57, 12 Fe 2.60-2.77
Fe 0.0000 0.2875 0.5000 x18  8 Fe 2.45-2.71
Fe 0.0000 0.5000 0.0000 x9  8 Fe 2.46, 2 Al 2.60
Fe 0.0031 0.5016 0.3415 x18  8 Fe 2.46-2.71, 1 Al 2.61

***

Entry 8:
First-principles (PBE) data for an optimized crystal structure of Pr4AlFe33, as listed in Materials Project.

- ΔH_f (0 K) (eV/atom) = 0.03
- theoretical density (Mg/m³) = 7.51
- M_tot (μB per formula unit) = 75.9

abc: 9.7453 8.5993 13.0252
angles: 90.00 99.59 90.00
Closest atoms and distances in Å follow each position.
Space group Cm (No. 8)
Asymmetric unit:
Pr 0.0000 0.0000 0.0000 x2  19 Fe 3.07-3.34
Pr 0.0021 0.0000 0.5013 x2  19 Fe 3.08-3.33
Pr 0.1861 0.5000 0.1581 x2  19 Fe 3.08-3.33
Pr 0.1908 0.5000 0.6578 x2  18 Fe 3.08-3.36, 1 Al 3.15
Al 0.4393 0.0000 0.7821 x2  11 Fe 2.45-2.73
Fe 0.0034 0.0000 0.7534 x2  9 Fe 2.47-2.70
Fe 0.0035 0.0000 0.2526 x2  9 Fe 2.47-2.70
Fe 0.0938 0.2497 0.3297 x4  10 Fe 2.45-2.64
Fe 0.0942 0.2500 0.8297 x4  9 Fe 2.45-2.63, 1 Al 2.64
Fe 0.1844 0.5000 0.4065 x2  9 Fe 2.47-2.70
Fe 0.1850 0.5000 0.9067 x2  8 Fe 2.47-2.71, 1 Al 2.66
Fe 0.2002 0.1444 0.1853 x4  8 Fe 2.45-2.69
Fe 0.2015 0.1434 0.6871 x4  8 Fe 2.45-2.71, 1 Al 2.73
Fe 0.2454 0.0000 0.8797 x2  1 Al 2.45, 6 Fe 2.62-2.64
Fe 0.2478 0.0000 0.3776 x2  7 Fe 2.43-2.66
Fe 0.2491 0.2472 0.0000 x4  9 Fe 2.47-2.69
Fe 0.2505 0.2474 0.5004 x4  9 Fe 2.47-2.71
Fe 0.3436 0.0000 0.0798 x2  10 Fe 2.45-2.64
Fe 0.3443 0.0000 0.5794 x2  9 Fe 2.45-2.64, 1 Al 2.65
Fe 0.3438 0.2859 0.8293 x4  8 Fe 2.45-2.71, 1 Al 2.73
Fe 0.3441 0.2877 0.3299 x4  8 Fe 2.46-2.70
Fe 0.4384 0.2478 0.1592 x4  9 Fe 2.47-2.71
Fe 0.4385 0.2484 0.6595 x4  8 Fe 2.47-2.70, 1 Al 2.67
Fe 0.4405 0.0000 0.2813 x2  7 Fe 2.43-2.66
Fe 0.4870 0.1431 0.9727 x4  9 Fe 2.46-2.75, 1 Al 2.74
Fe 0.4883 0.1438 0.4741 x4  8 Fe 2.45-2.70

***

- Which value of theoretical density does entry 1 give?
  4.96 Mg/m³

***

- Look up the ΔH_f (0 K) of the sixth one.
  -0.22 eV/atom

***

- Number 4 is which compound?
  Al2FeNi